Sr8MgZn4W4O24: optimized geometry, PBE+U.

a b c (Å): 8.138 8.054 8.404
angles (deg): 89.13 90.13 91.81
Atoms (fractional coordinates):
O: 0.970 0.507 0.711
Sr: 0.272 0.965 0.993
O: 0.031 0.984 0.792
Sr: 0.692 0.005 0.505
W: 0.004 0.256 0.258
O: 0.769 0.777 0.697
Sr: 0.746 0.463 0.979
O: 0.262 0.271 0.717
O: 0.243 0.272 0.296
O: 0.536 0.767 0.999
O: 0.977 0.480 0.353
O: 0.474 0.730 0.485
Mg: 0.032 0.619 0.168
O: 0.530 0.262 0.514
O: 0.475 0.230 0.976
O: 0.258 0.702 0.197
O: 0.470 0.005 0.726
O: 0.942 0.717 0.972
Zn: 0.504 0.248 0.246
Sr: 0.729 0.528 0.500
O: 0.540 0.506 0.222
O: 0.975 0.134 0.477
O: 0.037 0.021 0.166
O: 0.755 0.784 0.287
W: 0.001 0.745 0.749
W: 0.503 0.744 0.241
W: 0.499 0.245 0.744
O: 0.065 0.782 0.523
Sr: 0.268 0.021 0.498
Sr: 0.241 0.518 0.504
Zn: 0.505 0.747 0.750
O: 0.235 0.714 0.790
O: 0.531 0.486 0.759
O: 0.029 0.390 0.054
O: 0.740 0.217 0.773
O: 0.472 0.985 0.261
Zn: 0.968 0.885 0.341
Sr: 0.302 0.483 0.981
Zn: 0.993 0.227 0.705
Sr: 0.774 0.981 0.001
O: 0.767 0.223 0.214

Crystal system: triclinic

=====

Li2VCrO4: optimized geometry, PBE+U.

a b c (Å): 6.003 5.145 5.148
angles (deg): 71.00 90.00 90.00
Atoms (fractional coordinates):
V: 0.124 0.500 0.250
Li: 0.870 0.000 0.250
O: 0.375 0.724 0.010
Li: 0.622 0.000 0.750
Li: 0.378 0.000 0.250
Cr: 0.623 0.500 0.250
O: 0.869 0.272 0.493
O: 0.869 0.728 0.007
O: 0.131 0.272 0.993
O: 0.131 0.728 0.507
Li: 0.130 0.000 0.750
Cr: 0.377 0.500 0.750
O: 0.625 0.724 0.510
V: 0.876 0.500 0.750
O: 0.375 0.276 0.490
O: 0.625 0.276 0.990

Crystal system: monoclinic

=====

Offset from the most stable computed form
In order: 0.26 0.03
Unit: eV per formula unit